Entry from Materials Project: crystalline Ce2Bi at its relaxed geometry (r2SCAN).

The structure in POSCAR format:
```
Ce2Bi
1.0
-2.305 2.305 9.250
2.305 -2.305 9.250
2.305 2.305 -9.250
Ce Bi
4 2
Direct
0.000 0.500 0.500
0.180 0.180 0.000
0.500 0.000 0.500
0.820 0.820 0.000
0.363 0.363 0.000
0.637 0.637 0.000
```

## Properties
E_form: -0.802 eV/atom

Entry from Materials Project: crystalline NdSi3Ru at its relaxed geometry (r2SCAN).

The structure in POSCAR format:
```
NdSi3Ru
1.0
-2.109 2.109 4.962
2.109 -2.109 4.962
2.109 2.109 -4.962
Nd Si Ru
1 3 1
Direct
0.000 0.000 0.000
0.262 0.762 0.500
0.421 0.421 0.000
0.762 0.262 0.500
0.657 0.657 0.000
```

## Properties
E_form: -0.712 eV/atom

Entry from Materials Project: crystalline LiDyS2 at its relaxed geometry (r2SCAN).

The structure in POSCAR format:
```
LiDyS2
1.0
1.949 1.125 6.139
-1.949 1.125 6.139
0.000 -2.251 6.139
Li Dy S
1 1 2
Direct
0.000 0.000 0.000
0.500 0.500 0.500
0.250 0.250 0.250
0.750 0.750 0.750
```

## Properties
E_form: -2.118 eV/atom

Entry from Materials Project: crystalline CaMg2C3O9 at its relaxed geometry (r2SCAN).

The structure in POSCAR format:
```
CaMg2C3O9
1.0
4.756 0.000 0.000
-0.027 7.591 0.000
-2.351 -1.426 8.468
Ca Mg C O
2 4 6 18
Direct
0.160 0.159 0.337
0.840 0.841 0.663
0.155 0.653 0.325
0.500 0.000 0.000
0.500 0.500 0.000
0.845 0.347 0.675
0.007 0.749 0.006
0.341 0.575 0.665
0.345 0.101 0.678
0.655 0.899 0.322
0.659 0.425 0.335
0.993 0.251 0.994
0.070 0.117 0.663
0.109 0.848 0.925
0.169 0.659 0.566
0.181 0.651 0.092
0.241 0.499 0.762
0.268 0.252 0.001
0.387 0.430 0.330
0.472 0.181 0.595
0.489 0.998 0.770
0.511 0.002 0.230
0.528 0.819 0.405
0.613 0.570 0.670
0.732 0.748 0.999
0.759 0.501 0.238
0.819 0.349 0.908
0.831 0.341 0.434
0.891 0.152 0.075
0.930 0.883 0.337
```

## Properties
ΔE to the lowest computed polymorph: 0.0062 eV/atom
E_form: -2.267 eV/atom

Entry from Materials Project: crystalline HfTe3 at its relaxed geometry (r2SCAN).

The structure in POSCAR format:
```
HfTe3
1.0
5.947 0.000 0.000
0.000 3.985 0.000
-1.419 0.000 10.322
Hf Te
2 6
Direct
0.213 0.250 0.341
0.787 0.750 0.659
0.061 0.250 0.820
0.263 0.750 0.550
0.402 0.750 0.173
0.598 0.250 0.827
0.737 0.250 0.450
0.939 0.750 0.180
```

## Properties
E_form: -0.715 eV/atom

Entry from Materials Project: crystalline Tb4InRh at its relaxed geometry (r2SCAN).

The structure in POSCAR format:
```
Tb4InRh
1.0
0.000 6.830 6.830
6.830 0.000 6.830
6.830 6.830 0.000
Tb In Rh
16 4 4
Direct
0.188 0.188 0.812
0.188 0.812 0.188
0.188 0.812 0.812
0.401 0.401 0.401
0.401 0.401 0.798
0.401 0.798 0.401
0.561 0.561 0.939
0.561 0.939 0.561
0.561 0.939 0.939
0.798 0.401 0.401
0.812 0.188 0.188
0.812 0.188 0.812
0.812 0.812 0.188
0.939 0.561 0.561
0.939 0.561 0.939
0.939 0.939 0.561
0.167 0.167 0.167
0.167 0.167 0.498
0.167 0.498 0.167
0.498 0.167 0.167
0.176 0.608 0.608
0.608 0.176 0.608
0.608 0.608 0.176
0.608 0.608 0.608
```

## Properties
E_form: -0.636 eV/atom

Entry from Materials Project: crystalline ErHg at its relaxed geometry (r2SCAN).

The structure in POSCAR format:
```
ErHg
1.0
3.660 0.000 0.000
0.000 3.660 0.000
0.000 0.000 3.660
Er Hg
1 1
Direct
0.000 0.000 0.000
0.500 0.500 0.500
```

## Properties
E_form: -0.564 eV/atom

Entry from Materials Project: crystalline ZrS3 at its relaxed geometry (r2SCAN).

The structure in POSCAR format:
```
ZrS3
1.0
5.178 0.000 0.000
0.000 3.652 0.000
-1.188 0.000 9.121
Zr S
2 6
Direct
0.215 0.250 0.348
0.785 0.750 0.652
0.023 0.250 0.824
0.262 0.750 0.553
0.374 0.750 0.176
0.626 0.250 0.824
0.738 0.250 0.447
0.977 0.750 0.176
```

## Properties
E_form: -1.411 eV/atom

Question: Which value of E_form does entry 6 give?
Answer: -0.636 eV/atom

Question: Look up the E_form of the second one.
Answer: -0.712 eV/atom

Question: Among the records above, which one has the highest E_form?
Answer: ErHg